Record 1
The following is a PBE calculation of a geometry-optimized KMgAg2SbS4 structure, from the Materials Project database.

abc: 8.2261 6.7252 9.3927
angles: 65.08 138.00 130.49
Last column: nearest neighbours and their distance in Å.
Fractional positions:
1 K 0.0000 0.8662 0.0218  3 S 3.10-3.27
2 Mg 0.0000 0.2715 0.2229  4 S 2.36-2.55
3 Ag 0.5138 0.2782 0.6902  3 S 2.45-2.62
4 Ag 0.4862 0.7644 0.1764  3 S 2.45-2.62
5 Sb 0.0000 0.4695 0.4994  3 S 2.48-2.50
6 S 0.0000 0.3594 0.9512  1 Mg 2.36, 2 Ag 2.45
7 S 0.6102 0.2440 0.1317  1 Sb 2.48, 1 Mg 2.52, 1 Ag 2.62
8 S 0.3898 0.6337 0.5214  1 Sb 2.48, 1 Mg 2.52, 1 Ag 2.62
9 S 0.0000 0.8731 0.4250  1 Sb 2.50, 1 Mg 2.55, 2 Ag 2.57

Results
The energy relative to the elements is -18.37 kcal/mol of atoms. As for the space group: Cm (8). As for the crystal system: monoclinic. For the total energy, the calculation gives -3.801 eV per atom.

***

Record 2
The following is a PBE calculation of a geometry-optimized KMgAg2SbS4 structure, from the Materials Project database.

abc: 6.2098 6.5846 7.6350
angles: 91.02 99.42 118.49
Last column: nearest neighbours and their distance in Å.
Fractional positions:
1 K 0.8848 0.8680 0.9071  5 S 3.19-3.56
2 Mg 0.3879 0.2164 0.3696  3 S 2.36-2.45
3 Ag 0.5465 0.1796 0.7678  3 S 2.44-2.66
4 Ag 0.4788 0.8237 0.2675  2 S 2.36-2.39
5 Sb 0.0215 0.5260 0.5238  3 S 2.40-2.53
6 S 0.9976 0.4376 0.8264  1 Sb 2.40, 1 Ag 2.44
7 S 0.4650 0.1147 0.0982  1 Mg 2.36, 1 Ag 2.36
8 S 0.4505 0.5853 0.5045  1 Ag 2.39, 1 Mg 2.45, 1 Sb 2.53
9 S 0.1375 0.9487 0.5652  1 Mg 2.45, 1 Ag 2.47, 1 Sb 2.52

Results
The energy relative to the elements is -17.05 kcal/mol of atoms. As for the space group: P1 (1). As for the crystal system: triclinic. For the total energy, the calculation gives -3.744 eV per atom.

***

Record 3
The following is a PBE calculation of a geometry-optimized KMgAg2SbS4 structure, from the Materials Project database.

abc: 7.4024 7.4024 6.3071
angles: 106.07 121.22 108.81
Last column: nearest neighbours and their distance in Å.
Fractional positions:
1 K 0.9047 0.9047 0.0000  4 S 3.13-3.28
2 Mg 0.4435 0.4435 0.0000  4 S 2.48-2.54
3 Ag 0.6910 0.3181 0.7393  3 S 2.50-2.69
4 Ag 0.5788 0.9517 0.2607  3 S 2.50-2.69
5 Sb 0.0712 0.5712 0.5000  4 S 2.53-2.72
6 S 0.1290 0.5492 0.9218  2 Ag 2.50-2.69, 1 Sb 2.53, 1 Mg 2.54
7 S 0.6273 0.2071 0.0782  2 Ag 2.50-2.69, 1 Sb 2.53, 1 Mg 2.54
8 S 0.3583 0.4041 0.5480  1 Mg 2.48, 1 Ag 2.51, 1 Sb 2.72
9 S 0.8561 0.8103 0.4520  1 Mg 2.48, 1 Ag 2.51, 1 Sb 2.72

Results
The energy relative to the elements is -17.48 kcal/mol of atoms. As for the space group: C2 (5). As for the crystal system: monoclinic. For the total energy, the calculation gives -3.762 eV per atom.

***

The highest energy relative to the elements belongs to which entry? number 2

***

Among the records above, which one has the lowest energy relative to the elements? number 1

***

Among the records above, which one has the highest energy relative to the elements? number 2

***

Which formula does entry 3 have? KMgAg2SbS4